[1]
First-principles (GGA-PBE) data for crystalline Na10Ca8SiS11O48 at its relaxed geometry, as listed in the Materials Project.

abc: 18.722 9.324 23.753
angles: 89.94 89.97 120.03
Element x y z (fractional)
Ca1 0.998 0.003 0.345
Ca2 0.998 0.006 0.155
Ca3 0.834 0.334 0.178
Ca4 0.999 0.997 0.652
Ca5 0.164 0.653 0.514
Ca6 0.334 0.334 0.678
Ca7 0.339 0.349 0.485
Ca8 0.496 0.002 0.148
Ca9 0.658 0.661 0.016
Ca10 0.331 0.329 0.181
Ca11 0.337 0.348 0.986
Ca12 0.166 0.654 0.014
Ca13 0.499 0.998 0.652
Ca14 0.833 0.338 0.986
Ca15 0.500 0.002 0.848
Ca16 0.667 0.665 0.822
Ca17 0.172 0.662 0.319
Ca18 0.834 0.335 0.678
Ca19 0.167 0.666 0.822
Ca20 0.833 0.330 0.485
Ca21 0.660 0.659 0.514
Ca22 0.667 0.668 0.322
Ca23 0.000 0.001 0.848
Ca24 0.497 0.003 0.352
O1 0.272 0.680 0.962
O2 0.994 0.215 0.300
O3 0.493 0.209 0.302
O4 0.447 0.553 0.141
O5 0.388 0.977 0.693
O6 0.401 0.003 0.084
O7 0.097 0.001 0.917
O8 0.681 0.863 0.581
O9 0.401 0.784 0.300
O10 0.241 0.332 0.418
O11 0.250 0.832 0.752
O12 0.935 0.551 0.037
O13 0.570 0.656 0.085
O14 0.228 0.340 0.135
O15 0.277 0.879 0.473
O16 0.060 0.454 0.964
O17 0.250 0.863 0.080
O18 0.496 0.809 0.086
O19 0.551 0.660 0.359
O20 0.932 0.322 0.537
O21 0.016 0.802 0.700
O22 0.774 0.890 0.365
O23 0.267 0.670 0.252
O24 0.173 0.887 0.868
O25 0.399 0.022 0.807
O26 0.334 0.168 0.748
O27 0.831 0.104 0.134
O28 0.774 0.870 0.468
O29 0.502 0.186 0.918
O30 0.833 0.499 0.248
O31 0.751 0.831 0.752
O32 0.392 0.793 0.198
O33 0.675 0.453 0.362
O34 0.012 0.238 0.199
O35 0.560 0.453 0.963
O36 0.229 0.112 0.632
O37 0.162 0.437 0.468
O38 0.726 0.104 0.638
O39 0.259 0.669 0.583
O40 0.830 0.557 0.634
O41 0.402 0.827 0.915
O42 0.180 0.863 0.580
O43 0.002 0.186 0.919
O44 0.988 0.173 0.583
O45 0.734 0.140 0.245
O46 0.093 0.181 0.416
O47 0.727 0.349 0.138
O48 0.682 0.498 0.081
O49 0.115 0.198 0.800
O50 0.449 0.344 0.639
O51 0.569 0.476 0.580
O52 0.888 0.797 0.193
O53 0.663 0.454 0.464
O54 0.427 0.331 0.247
O55 0.408 0.813 0.582
O56 0.760 0.670 0.581
O57 0.920 0.313 0.246
O58 0.749 0.361 0.419
O59 0.952 0.558 0.138
O60 0.170 0.445 0.366
O61 0.773 0.677 0.968
O62 0.664 0.871 0.964
O63 0.739 0.338 0.744
O64 0.921 0.535 0.745
O65 0.103 0.219 0.699
O66 0.774 0.658 0.866
O67 0.599 0.984 0.199
O68 0.835 0.118 0.032
O69 0.263 0.879 0.371
O70 0.162 0.876 0.970
O71 0.674 0.896 0.862
O72 0.750 0.137 0.918
O73 0.048 0.436 0.861
O74 0.576 0.473 0.253
O75 0.437 0.547 0.038
O76 0.425 0.331 0.917
O77 0.400 0.997 0.415
O78 0.488 0.173 0.584
O79 0.929 0.531 0.419
O80 0.070 0.663 0.756
O81 0.901 0.974 0.417
O82 0.153 0.835 0.253
O83 0.610 0.025 0.300
O84 0.598 0.193 0.415
O85 0.570 0.663 0.755
O86 0.833 0.140 0.421
O87 0.925 0.330 0.918
O88 0.948 0.343 0.639
O89 0.899 0.021 0.807
O90 0.333 0.546 0.537
O91 0.323 0.120 0.128
O92 0.225 0.124 0.530
O93 0.727 0.323 0.036
O94 0.154 0.465 0.755
O95 0.168 0.470 0.081
O96 0.654 0.466 0.755
O97 0.097 0.001 0.583
O98 0.507 0.221 0.200
O99 0.888 0.977 0.693
O100 0.909 0.814 0.580
O101 0.074 0.673 0.079
O102 0.493 0.780 0.801
O103 0.652 0.841 0.254
O104 0.564 0.675 0.461
O105 0.100 0.166 0.085
O106 0.834 0.552 0.531
O107 0.331 0.523 0.919
O108 0.505 0.819 0.415
O109 0.053 0.657 0.361
O110 0.751 0.672 0.252
O111 0.727 0.129 0.536
O112 0.431 0.321 0.538
O113 0.249 0.136 0.920
O114 0.066 0.677 0.463
O115 0.104 0.985 0.200
O116 0.548 0.437 0.861
O117 0.898 0.775 0.307
O118 0.429 0.516 0.416
O119 0.336 0.118 0.027
O120 0.112 0.012 0.302
O121 0.832 0.525 0.921
O122 0.069 0.476 0.580
O123 0.993 0.780 0.801
O124 0.421 0.534 0.745
O125 0.995 0.813 0.085
O126 0.224 0.315 0.033
O127 0.238 0.139 0.247
O128 0.014 0.831 0.416
O129 0.238 0.336 0.744
O130 0.615 0.198 0.800
O131 0.760 0.850 0.081
O132 0.835 0.169 0.748
O133 0.350 0.533 0.248
O134 0.597 0.194 0.085
O135 0.909 0.005 0.081
O136 0.901 0.828 0.918
O137 0.277 0.656 0.861
O138 0.330 0.563 0.639
O139 0.598 0.001 0.915
O140 0.603 0.220 0.699
O141 0.317 0.135 0.421
O142 0.068 0.488 0.254
O143 0.516 0.801 0.700
O144 0.597 0.998 0.585
S1 0.352 0.697 0.250
S2 0.169 0.975 0.919
S3 0.000 0.312 0.250
S4 0.320 0.669 0.915
S5 0.315 0.971 0.420
S6 0.834 0.022 0.082
S7 0.152 0.303 0.749
S8 0.485 0.331 0.585
S9 0.682 0.338 0.084
S10 0.010 0.355 0.916
S11 0.333 0.645 0.585
S12 0.181 0.326 0.084
S13 0.000 0.696 0.750
S14 0.682 0.024 0.585
S15 0.510 0.354 0.915
S16 0.669 0.975 0.915
S17 0.500 0.304 0.250
S18 0.329 0.028 0.080
S19 0.989 0.646 0.084
S20 0.487 0.641 0.087
S21 0.513 0.668 0.413
S22 0.153 0.995 0.250
S23 0.500 0.696 0.750
S24 0.819 0.670 0.919
S25 0.833 0.645 0.581
S26 0.652 0.304 0.750
S27 0.166 0.353 0.417
S28 0.016 0.672 0.415
S29 0.648 0.998 0.250
S30 0.985 0.331 0.585
S31 0.820 0.971 0.418
S32 0.182 0.026 0.581
S33 0.670 0.363 0.416
Na1 0.352 0.031 0.908
Na2 0.193 0.001 0.750
Na3 0.336 0.327 0.833
Na4 0.850 0.029 0.905
Na5 0.486 0.329 0.755
Na6 0.173 0.675 0.667
Na7 0.671 0.674 0.667
Na8 0.010 0.024 0.997
Na9 0.835 0.704 0.095
Na10 0.834 0.324 0.833
Na11 0.168 0.033 0.417
Na12 0.498 0.634 0.250
Na13 0.835 0.969 0.595
Na14 0.668 0.664 0.167
Na15 0.181 0.652 0.167
Na16 0.850 0.673 0.405
Na17 0.690 0.385 0.250
Na18 0.510 0.996 0.498
Na19 0.009 0.023 0.503
Na20 0.821 0.670 0.745
Na21 0.986 0.330 0.755
Na22 0.509 0.995 0.002
Na23 0.322 0.671 0.745
Na24 0.692 0.999 0.750
Na25 0.155 0.976 0.083
Na26 0.834 0.342 0.331
Na27 0.336 0.970 0.593
Na28 0.335 0.340 0.335
Na29 0.821 0.973 0.246
Na30 0.990 0.647 0.255
Si1 0.843 0.686 0.250
Si2 0.844 0.000 0.750
Si3 0.344 0.000 0.750

Values from the calculation:
For the total magnetization, the calculation gives 0.00 μB per formula unit. The calculation puts the formation energy from the elements at -2493.9 meV/atom. For the uncorrected energy, the calculation gives -479.25 eV/f.u. For the density, the calculation gives 2.36 g cm⁻³.

[2]
First-principles (GGA-PBE) data for crystalline Na6Ca4SiS5O24 at its relaxed geometry, as listed in the Materials Project.

abc: 9.491 9.442 22.796
angles: 89.96 90.10 119.86
Element x y z (fractional)
O1 0.504 0.862 0.083
O2 0.330 0.473 0.082
O3 0.567 0.664 0.857
O4 0.652 0.545 0.642
O5 0.107 0.675 0.364
O6 0.089 0.418 0.855
O7 0.969 0.202 0.302
O8 0.887 0.540 0.039
O9 0.678 0.546 0.525
O10 0.988 0.810 0.421
O11 0.453 0.126 0.537
O12 0.862 0.307 0.538
O13 0.330 0.445 0.364
O14 0.847 0.516 0.413
O15 0.332 0.883 0.971
O16 0.809 0.977 0.419
O17 0.113 0.458 0.961
O18 0.911 0.584 0.144
O19 0.132 0.495 0.579
O20 0.999 0.815 0.077
O21 0.019 0.203 0.586
O22 0.194 0.191 0.421
O23 0.500 0.161 0.245
O24 0.772 0.983 0.692
O25 0.663 0.113 0.135
O26 0.211 0.196 0.794
O27 0.010 0.220 0.197
O28 0.537 0.669 0.962
O29 0.197 0.023 0.586
O30 0.565 0.893 0.360
O31 0.232 0.233 0.689
O32 0.311 0.467 0.751
O33 0.835 0.830 0.580
O34 0.200 0.009 0.918
O35 0.214 0.977 0.181
O36 0.803 0.825 0.920
O37 0.444 0.091 0.642
O38 0.497 0.138 0.917
O39 0.865 0.344 0.244
O40 0.023 0.778 0.692
O41 0.141 0.660 0.755
O42 0.491 0.349 0.413
O43 0.680 0.146 0.415
O44 0.154 0.677 0.086
O45 0.206 0.030 0.292
O46 0.503 0.833 0.753
O47 0.801 0.021 0.809
O48 0.695 0.537 0.248
O49 0.554 0.885 0.467
O50 0.778 0.770 0.311
O51 0.999 0.793 0.797
O52 0.801 0.991 0.082
O53 0.848 0.531 0.750
O54 0.476 0.336 0.750
O55 0.431 0.336 0.144
O56 0.669 0.115 0.028
O57 0.777 0.807 0.206
O58 0.664 0.165 0.752
O59 0.156 0.464 0.255
O60 0.319 0.852 0.581
O61 0.343 0.451 0.471
O62 0.463 0.330 0.039
O63 0.196 0.176 0.080
O64 0.521 0.656 0.256
O65 0.998 0.183 0.922
O66 0.096 0.660 0.472
O67 0.904 0.343 0.643
O68 0.845 0.324 0.913
O69 0.671 0.528 0.919
O70 0.327 0.832 0.250
O71 0.339 0.888 0.864
O72 0.504 0.671 0.581
S1 0.652 0.977 0.415
S2 0.643 0.670 0.915
S3 0.307 0.307 0.746
S4 0.354 0.025 0.586
S5 0.339 0.978 0.918
S6 0.694 0.694 0.255
S7 0.000 0.305 0.250
S8 0.978 0.337 0.586
S9 0.985 0.652 0.086
S10 0.003 0.692 0.749
S11 0.011 0.664 0.417
S12 0.015 0.349 0.913
S13 0.355 0.330 0.086
S14 0.337 0.357 0.417
S15 0.663 0.021 0.082
Na1 0.331 0.672 0.167
Na2 0.970 0.327 0.762
Na3 0.629 0.997 0.249
Na4 0.693 0.660 0.434
Na5 0.337 0.359 0.587
Na6 0.000 0.000 0.001
Na7 0.379 0.691 0.667
Na8 0.666 0.329 0.833
Na9 0.308 0.975 0.096
Na10 0.999 0.690 0.574
Na11 0.629 0.282 0.334
Na12 0.677 0.966 0.597
Na13 0.371 0.998 0.753
Na14 0.350 0.322 0.255
Na15 0.022 0.671 0.240
Na16 0.696 0.026 0.902
Na17 0.646 0.664 0.733
Na18 0.992 0.998 0.500
Ca1 0.327 0.656 0.016
Ca2 0.002 0.999 0.150
Ca3 0.670 0.340 0.178
Ca4 0.017 0.007 0.348
Ca5 0.334 0.660 0.821
Ca6 0.334 0.672 0.513
Ca7 0.989 0.995 0.654
Ca8 0.328 0.672 0.320
Ca9 0.668 0.337 0.681
Ca10 0.673 0.343 0.985
Ca11 0.998 0.998 0.851
Ca12 0.666 0.329 0.484
Si1 0.685 0.000 0.752
Si2 0.313 0.000 0.242
Si3 0.668 0.648 0.582

Values from the calculation:
For the total magnetization, the calculation gives 0.00 μB per formula unit. The calculation puts the formation energy from the elements at -2519.8 meV/atom. For the uncorrected energy, the calculation gives -245.12 eV/f.u. For the density, the calculation gives 2.45 g cm⁻³.

Among the records above, which one has the highest formation energy from the elements?
Na10Ca8SiS11O48